The following is a DFT calculation (GGA-PBE) of a relaxed Na7Hf2Sc2Si3P3O24 crystal.

Output
The calculation puts the formation energy at -3.12 eV per atom. As for the space group: P1. The size of the total moment comes out at 0.000 μB/cell.

Unit cell a=9.1423 b=9.1233 c=22.7070 alpha=90.02 beta=90.12 gamma=120.03
Fractional positions:
Na1 0.0004 0.9990 0.5002
Na2 0.6633 0.9729 0.5830
Na3 0.6744 0.3417 0.3339
Na4 0.6332 0.0041 0.2528
Na5 0.3252 0.6667 0.1670
Na6 0.0326 0.6949 0.5832
Na7 0.9671 0.3055 0.4155
Na8 0.0090 0.9950 0.0003
Na9 0.6327 0.6351 0.7494
Na10 0.6660 0.6882 0.0821
Na11 0.3332 0.6607 0.6654
Na12 0.0298 0.3367 0.0860
Na13 0.3733 0.0012 0.7479
Na14 0.3667 0.3708 0.2474
Na15 0.9602 0.6644 0.9190
Na16 0.9936 0.3644 0.7492
Na17 0.7012 0.0318 0.9166
Na18 0.3395 0.3026 0.9180
Na19 0.6667 0.3334 0.8334
Na20 0.9999 0.6238 0.2499
Na21 0.3358 0.0264 0.4182
O1 0.0239 0.2003 0.1925
O2 0.8207 0.9918 0.4117
O3 0.8364 0.5317 0.7458
O4 0.1766 0.9806 0.9117
O5 0.3535 0.5031 0.0765
O6 0.9757 0.1756 0.3076
O7 0.5134 0.6529 0.5771
O8 0.6475 0.4956 0.9197
O9 0.0337 0.8437 0.4105
O10 0.3095 0.8409 0.2542
O11 0.9699 0.8113 0.0904
O12 0.1725 0.4829 0.2527
O13 0.6435 0.1484 0.4221
O14 0.1213 0.4844 0.8607
O15 0.1778 0.1719 0.0887
O16 0.3569 0.8511 0.5776
O17 0.5111 0.8579 0.0770
O18 0.7972 0.9706 0.6931
O19 0.9690 0.1579 0.5895
O20 0.8614 0.3486 0.9222
O21 0.5105 0.8765 0.3576
O22 0.3579 0.8770 0.8592
O23 0.8283 0.8021 0.5897
O24 0.1763 0.0032 0.5895
O25 0.8802 0.5098 0.1415
O26 0.9766 0.7933 0.8057
O27 0.3037 0.4606 0.4680
O28 0.1198 0.6298 0.3579
O29 0.4881 0.3480 0.4229
O30 0.1538 0.4644 0.9709
O31 0.1475 0.6441 0.0759
O32 0.6404 0.1195 0.1395
O33 0.6990 0.1493 0.0284
O34 0.3011 0.4664 0.7543
O35 0.0323 0.1996 0.9128
O36 0.4883 0.1222 0.6417
O37 0.0262 0.8198 0.6953
O38 0.1743 0.1961 0.4101
O39 0.6413 0.5235 0.6422
O40 0.4971 0.1340 0.9214
O41 0.5371 0.6956 0.9734
O42 0.6951 0.5372 0.5321
O43 0.5157 0.8297 0.7537
O44 0.4710 0.3168 0.7448
O45 0.5387 0.8458 0.4747
O46 0.1748 0.9733 0.1976
O47 0.8253 0.7986 0.3027
O48 0.4673 0.1614 0.2455
O49 0.4590 0.1533 0.5249
O50 0.2068 0.0245 0.3066
O51 0.8235 0.0316 0.8084
O52 0.8406 0.3033 0.5267
O53 0.7929 0.8172 0.1936
O54 0.8450 0.5443 0.0249
O55 0.8519 0.4976 0.4240
O56 0.2145 0.1846 0.8074
O57 0.8271 0.3097 0.2471
O58 0.4896 0.3682 0.1417
O59 0.1756 0.1985 0.6979
O60 0.1594 0.6962 0.4735
O61 0.3060 0.8421 0.9686
O62 0.3601 0.4770 0.3582
O63 0.8183 0.8367 0.9128
O64 0.1486 0.5028 0.5762
O65 0.8810 0.3706 0.6422
O66 0.6867 0.1710 0.7463
O67 0.6905 0.5310 0.2459
O68 0.5329 0.6939 0.2545
O69 0.4549 0.3049 0.0238
O70 0.1568 0.6859 0.7547
O71 0.5102 0.6359 0.8582
O72 0.8239 0.0178 0.0905
Si1 0.3709 0.0390 0.5835
Si2 0.7042 0.0007 0.7504
Si3 0.9630 0.3350 0.5841
Si4 0.0374 0.6660 0.4160
Si5 0.3727 0.3320 0.0830
Si6 0.6296 0.6657 0.9160
Si7 0.6262 0.9592 0.4161
Si8 0.9620 0.6284 0.0831
Si9 0.9997 0.2963 0.2500
P1 0.0413 0.3745 0.9159
P2 0.3342 0.9595 0.9152
P3 0.2918 0.0004 0.2513
P4 0.3358 0.3758 0.4147
P5 0.2922 0.2922 0.7517
P6 0.6649 0.6235 0.5855
P7 0.7079 0.7084 0.2489
P8 0.6655 0.0402 0.0837
P9 0.9988 0.7069 0.7506
Sc1 0.6626 0.3387 0.9850
Sc2 0.3290 0.6653 0.3179
Sc3 0.6709 0.3369 0.1814
Sc4 0.6671 0.3267 0.6819
Sc5 0.3417 0.6690 0.8157
Sc6 0.9923 0.9985 0.8509
Hf1 0.3353 0.6710 0.0198
Hf2 0.0031 0.0071 0.6468
Hf3 0.3335 0.6661 0.5180
Hf4 0.9902 0.9947 0.3541
Hf5 0.6664 0.3334 0.4820
Hf6 0.0095 0.0042 0.1462

The following is a DFT calculation (GGA-PBE) of a relaxed Na4HfScSi2PO12 crystal.

Output
The calculation puts the formation energy at -3.10 eV per atom. The size of the total moment comes out at 0.000 μB/cell.

Unit cell a=9.1655 b=9.1655 c=22.7938 alpha=89.91 beta=90.09 gamma=119.84
Fractional positions:
Hf1 0.3319 0.6663 0.3156
Hf2 0.3337 0.6681 0.8156
Hf3 0.6652 0.3329 0.9823
Hf4 0.9986 0.9996 0.6490
Hf5 0.6671 0.3348 0.4823
Hf6 0.0004 0.0014 0.1490
O1 0.0179 0.1854 0.9114
O2 0.9758 0.8143 0.0900
O3 0.2123 0.0314 0.3048
O4 0.5456 0.6981 0.9714
O5 0.1633 0.9753 0.9109
O6 0.1576 0.6967 0.4744
O7 0.8371 0.8140 0.5896
O8 0.6993 0.1560 0.0291
O9 0.1591 0.4571 0.9737
O10 0.4606 0.1620 0.5260
O11 0.3019 0.4544 0.4714
O12 0.5046 0.8727 0.3594
O13 0.0247 0.8367 0.4109
O14 0.7017 0.5396 0.5262
O15 0.6353 0.1211 0.1381
O16 0.2096 0.1743 0.8070
O17 0.3512 0.8520 0.5781
O18 0.8243 0.0300 0.8077
O19 0.4967 0.6419 0.5776
O20 0.8524 0.3575 0.9233
O21 0.5107 0.6340 0.8624
O22 0.4910 0.3634 0.1411
O23 0.1273 0.4954 0.8594
O24 0.8762 0.5076 0.1403
O25 0.8380 0.5394 0.0260
O26 0.3660 0.4893 0.3624
O27 0.1857 0.0242 0.5900
O28 0.4813 0.3154 0.7448
O29 0.5190 0.6909 0.2566
O30 0.1788 0.1982 0.4099
O31 0.6846 0.5187 0.2448
O32 0.5037 0.1474 0.9229
O33 0.8526 0.4963 0.4229
O34 0.4955 0.3598 0.4228
O35 0.8018 0.8212 0.9099
O36 0.6914 0.1700 0.7442
O37 0.9736 0.1711 0.5895
O38 0.4684 0.1545 0.2432
O39 0.8789 0.3647 0.6381
O40 0.9700 0.1757 0.3077
O41 0.3069 0.8378 0.2561
O42 0.8257 0.7904 0.3070
O43 0.8289 0.0264 0.0895
O44 0.4604 0.2983 0.0262
O45 0.6425 0.1476 0.4233
O46 0.8455 0.5316 0.7432
O47 0.7937 0.9650 0.6929
O48 0.0326 0.8227 0.6957
O49 0.8440 0.3007 0.5291
O50 0.5429 0.8409 0.4737
O51 0.5121 0.8649 0.0765
O52 0.3091 0.4810 0.7566
O53 0.6366 0.5090 0.6411
O54 0.0350 0.2063 0.1929
O55 0.5193 0.8296 0.7562
O56 0.1622 0.6931 0.7561
O57 0.1270 0.6316 0.3596
O58 0.8300 0.3086 0.2442
O59 0.6402 0.5045 0.9228
O60 0.9686 0.7877 0.8048
O61 0.8146 0.9821 0.4114
O62 0.7939 0.8287 0.1927
O63 0.1713 0.2061 0.6927
O64 0.1480 0.6488 0.0781
O65 0.4924 0.1238 0.6403
O66 0.3033 0.8424 0.9744
O67 0.3581 0.5033 0.0776
O68 0.3684 0.8730 0.8596
O69 0.1704 0.4807 0.2562
O70 0.1351 0.4879 0.5765
O71 0.1860 0.1629 0.0896
O72 0.1773 0.9674 0.1957
P1 0.2921 0.0010 0.2510
P2 0.3323 0.3745 0.4177
P3 0.6656 0.0412 0.0844
P4 0.9588 0.3344 0.5844
P5 0.9990 0.7079 0.7510
P6 0.6255 0.6677 0.9177
Si1 0.9608 0.6273 0.0837
Si2 0.3727 0.0392 0.5837
Si3 0.3320 0.9594 0.9174
Si4 0.0394 0.3725 0.9170
Si5 0.6653 0.6260 0.5841
Si6 0.2942 0.2939 0.7503
Si7 0.6275 0.9606 0.4170
Si8 0.9986 0.2927 0.2508
Si9 0.0406 0.6680 0.4174
Si10 0.7061 0.7058 0.2503
Si11 0.3740 0.3347 0.0841
Si12 0.7073 0.0014 0.7508
Na1 0.3312 0.6613 0.1649
Na2 0.7050 0.6739 0.4165
Na3 0.6399 0.0042 0.2504
Na4 0.9958 0.3601 0.7504
Na5 0.6594 0.9617 0.5832
Na6 0.3261 0.2950 0.9165
Na7 0.3001 0.9651 0.0811
Na8 0.6646 0.3280 0.8315
Na9 0.9668 0.2985 0.4144
Na10 0.0054 0.0021 0.9982
Na11 0.0383 0.3406 0.0832
Na12 0.7015 0.0332 0.9144
Na13 0.0349 0.6999 0.5811
Na14 0.6335 0.6318 0.7477
Na15 0.3682 0.3665 0.2477
Na16 0.3387 0.6688 0.6649
Na17 0.3066 0.3376 0.5838
Na18 0.6720 0.3354 0.3315
Na19 0.9979 0.9946 0.4982
Na20 0.3291 0.0268 0.4171
Na21 0.6624 0.6934 0.0838
Na22 0.3717 0.0073 0.7499
Na23 0.9927 0.6283 0.2499
Na24 0.9732 0.6709 0.9171
Sc1 0.6572 0.3275 0.6839
Sc2 0.3391 0.6761 0.5173
Sc3 0.3239 0.6609 0.0173
Sc4 0.9905 0.9942 0.3506
Sc5 0.0058 0.0095 0.8506
Sc6 0.6725 0.3428 0.1839

The following is a DFT calculation (GGA-PBE) of a relaxed Na3HfScSiP2O12 crystal.

Output
The calculation puts the formation energy at -3.12 eV per atom. As for the space group: Cc. The size of the total moment comes out at 0.001 μB/cell.

Unit cell a=9.0878 b=9.0878 c=22.4874 alpha=90.07 beta=89.93 gamma=120.02
Fractional positions:
O1 0.1923 0.1656 0.0884
O2 0.8168 0.7870 0.3044
O3 0.8090 0.0119 0.8115
O4 0.4660 0.3059 0.0337
O5 0.8372 0.0373 0.0878
O6 0.7931 0.8126 0.1939
O7 0.1735 0.0059 0.5865
O8 0.8344 0.8077 0.5884
O9 0.4838 0.1271 0.6417
O10 0.9804 0.7942 0.8070
O11 0.3093 0.8500 0.9768
O12 0.3434 0.4838 0.0798
O13 0.5121 0.8656 0.3665
O14 0.4663 0.1620 0.2448
O15 0.5263 0.6895 0.2546
O16 0.1500 0.6907 0.4768
O17 0.8380 0.5337 0.7448
O18 0.6932 0.1513 0.0249
O19 0.6394 0.1288 0.1353
O20 0.1555 0.6512 0.0815
O21 0.8487 0.3068 0.5249
O22 0.2058 0.0196 0.3070
O23 0.9627 0.1628 0.5878
O24 0.4945 0.3516 0.4203
O25 0.3087 0.8376 0.2552
O26 0.1337 0.4504 0.9780
O27 0.5226 0.6428 0.8571
O28 0.1344 0.4879 0.8665
O29 0.6685 0.1592 0.7485
O30 0.3572 0.4774 0.3571
O31 0.5131 0.8211 0.7530
O32 0.5138 0.8627 0.0768
O33 0.3593 0.8681 0.8594
O34 0.6357 0.1400 0.4205
O35 0.4771 0.3238 0.7447
O36 0.1768 0.1954 0.4126
O37 0.8508 0.4883 0.4210
O38 0.9881 0.1910 0.3115
O39 0.9941 0.8265 0.0865
O40 0.8729 0.5162 0.1417
O41 0.1373 0.4862 0.5768
O42 0.1319 0.6407 0.3594
O43 0.0026 0.1884 0.9143
O44 0.4624 0.1475 0.5237
O45 0.5313 0.6841 0.9682
O46 0.3159 0.4687 0.4682
O47 0.1789 0.4869 0.2530
O48 0.5117 0.1492 0.9210
O49 0.1753 0.9700 0.1959
O50 0.8600 0.3643 0.9205
O51 0.3105 0.4737 0.7546
O52 0.8408 0.3315 0.2485
O53 0.7979 0.9751 0.6929
O54 0.0242 0.8397 0.4127
O55 0.5496 0.8663 0.4780
O56 0.6484 0.5055 0.9203
O57 0.0249 0.2021 0.1929
O58 0.1624 0.6913 0.7552
O59 0.8046 0.8232 0.9126
O60 0.4674 0.3474 0.1451
O61 0.6526 0.5326 0.6451
O62 0.3488 0.8445 0.5815
O63 0.2130 0.1832 0.8044
O64 0.0300 0.8247 0.6959
O65 0.6941 0.5340 0.5337
O66 0.8116 0.9974 0.4143
O67 0.8525 0.5376 0.0237
O68 0.5162 0.6566 0.5798
O69 0.1874 0.2069 0.6939
O70 0.6762 0.5229 0.2447
O71 0.1603 0.9758 0.9127
O72 0.8712 0.3606 0.6353
Sc1 0.0066 0.0097 0.8519
Sc2 0.6673 0.3243 0.6853
Sc3 0.3321 0.6666 0.5181
Sc4 0.6757 0.3327 0.1853
Sc5 0.3334 0.6679 0.0181
Sc6 0.9903 0.9934 0.3519
P1 0.2923 0.0001 0.2514
P2 0.6673 0.6282 0.5876
P3 0.9583 0.3319 0.5820
P4 0.3355 0.3746 0.4151
P5 0.9999 0.7077 0.7514
P6 0.3718 0.3327 0.0876
P7 0.0372 0.3717 0.9201
P8 0.6254 0.6645 0.9151
P9 0.2957 0.2969 0.7503
P10 0.7031 0.7043 0.2503
P11 0.6283 0.9628 0.4201
P12 0.6681 0.0417 0.0820
Na1 0.9760 0.6764 0.9192
Na2 0.9744 0.3038 0.4099
Na3 0.0364 0.3484 0.0849
Na4 0.3005 0.9602 0.0787
Na5 0.6767 0.3336 0.3296
Na6 0.3614 0.3599 0.2459
Na7 0.0398 0.6995 0.5787
Na8 0.3531 0.6753 0.1620
Na9 0.6664 0.3233 0.8296
Na10 0.6962 0.0256 0.9099
Na11 0.0073 0.9963 0.9958
Na12 0.6401 0.6386 0.7459
Na13 0.3712 0.0069 0.7469
Na14 0.0037 0.9927 0.4958
Na15 0.3236 0.0240 0.4192
Na16 0.6516 0.9636 0.5849
Na17 0.3247 0.6469 0.6620
Na18 0.9931 0.6288 0.2469
Hf1 0.0047 0.0079 0.6476
Hf2 0.3333 0.6683 0.3144
Hf3 0.3317 0.6667 0.8144
Hf4 0.9921 0.9953 0.1476
Hf5 0.6625 0.3378 0.4811
Hf6 0.6622 0.3375 0.9811
Si1 0.9661 0.6330 0.0835
Si2 0.7028 0.9995 0.7520
Si3 0.0347 0.6670 0.4179
Si4 0.0005 0.2972 0.2520
Si5 0.3330 0.9653 0.9179
Si6 0.3670 0.0339 0.5835

The following is a DFT calculation (GGA-PBE) of a relaxed Na3HfScSiP2O12 crystal.

Output
The calculation puts the formation energy at -3.12 eV per atom. The size of the total moment comes out at 0.000 μB/cell.

Unit cell a=15.7380 b=9.1109 c=9.0514 alpha=90.00 beta=124.67 gamma=90.00
Fractional positions:
O1 0.7565 0.3458 0.7469
O2 0.5756 0.6416 0.2437
O3 0.2565 0.1542 0.2469
O4 0.1512 0.4269 0.2428
O5 0.9389 0.9396 0.0932
O6 0.0632 0.0450 0.9308
O7 0.2565 0.8458 0.7469
O8 0.4514 0.8417 0.9267
O9 0.1397 0.3399 0.9056
O10 0.6397 0.8399 0.9056
O11 0.4197 0.3521 0.7533
O12 0.0756 0.1416 0.2437
O13 0.5632 0.5450 0.9308
O14 0.7565 0.6542 0.2469
O15 0.4389 0.5604 0.5932
O16 0.3492 0.9281 0.2567
O17 0.5632 0.4550 0.4308
O18 0.2431 0.6878 0.2551
O19 0.8492 0.4281 0.2567
O20 0.6512 0.0731 0.7428
O21 0.6397 0.1601 0.4056
O22 0.4197 0.6479 0.2533
O23 0.9514 0.3417 0.9267
O24 0.0378 0.6658 0.0550
O25 0.8492 0.5719 0.7567
O26 0.1512 0.5731 0.7428
O27 0.4514 0.1583 0.4267
O28 0.5378 0.1658 0.0550
O29 0.3503 0.1409 0.0861
O30 0.6512 0.9269 0.2428
O31 0.9197 0.1479 0.2533
O32 0.7431 0.8122 0.7551
O33 0.1397 0.6601 0.4056
O34 0.8503 0.3591 0.5861
O35 0.7431 0.1878 0.2551
O36 0.9514 0.6583 0.4267
O37 0.5756 0.3584 0.7437
O38 0.4389 0.4396 0.0932
O39 0.3503 0.8591 0.5861
O40 0.3492 0.0719 0.7567
O41 0.0756 0.8584 0.7437
O42 0.8503 0.6409 0.0861
O43 0.9197 0.8521 0.7533
O44 0.2431 0.3122 0.7551
O45 0.0632 0.9550 0.4308
O46 0.5378 0.8342 0.5550
O47 0.9389 0.0604 0.5932
O48 0.0378 0.3342 0.5550
Na1 0.2516 0.7195 0.9949
Na2 0.1863 0.9344 0.2897
Na3 0.6863 0.4344 0.2897
Na4 0.0066 0.6092 0.7619
Na5 0.6863 0.5656 0.7897
Na6 0.1863 0.0656 0.7897
Na7 0.2516 0.2805 0.4949
Na8 0.5066 0.8908 0.2619
Na9 0.7516 0.7805 0.4949
Na10 0.0066 0.3908 0.2619
Na11 0.5066 0.1092 0.7619
Na12 0.7516 0.2195 0.9949
P1 0.3524 0.8997 0.7570
P2 0.8524 0.6003 0.2570
P3 0.3524 0.1003 0.2570
P4 0.0003 0.9554 0.7582
P5 0.8524 0.3997 0.7570
P6 0.0003 0.0446 0.2582
P7 0.5003 0.4554 0.7582
P8 0.5003 0.5446 0.2582
Si1 0.1452 0.3946 0.7403
Si2 0.1452 0.6054 0.2403
Si3 0.6452 0.8946 0.7403
Si4 0.6452 0.1054 0.2403
Hf1 0.3957 0.7431 0.4405
Hf2 0.8957 0.7569 0.9405
Hf3 0.3957 0.2569 0.9405
Hf4 0.8957 0.2431 0.4405
Sc1 0.1052 0.2564 0.0617
Sc2 0.1052 0.7436 0.5617
Sc3 0.6052 0.2436 0.5617
Sc4 0.6052 0.7564 0.0617

Q: Which of these has the highest formation energy?
A: Na4HfScSi2PO12

Q: Number 4 is which compound?
A: Na3HfScSiP2O12